No. 1
VASP calculation (PBE) on a geometry-optimized Sc6Si11Ni18 structure.

Geometry as POSCAR:
```
Sc6Si11Ni18
1.0
-4.0125 6.1137 8.9604
4.0125 -6.1137 8.9604
4.0125 6.1137 -8.9604
Sc Si Ni
12 22 36
Cartesian
4.0125 -2.2449 3.8539
0.0000 0.0000 2.3251
0.0000 0.0000 5.5586
1.6373 3.8828 0.0000
2.3752 -2.2309 8.9604
4.0125 2.2449 3.8539
0.0000 3.8689 5.1066
1.6373 8.3447 0.0000
2.3752 2.2309 8.9604
0.0000 0.0000 12.3623
0.0000 0.0000 15.5957
0.0000 8.3586 5.1066
1.8670 0.0000 0.0000
6.1581 0.0000 0.0000
4.0125 -3.4631 6.8713
2.5842 0.0000 3.0168
5.4408 0.0000 3.0168
4.0125 2.1336 0.0000
2.0687 4.0590 -2.8119
1.9438 -2.0548 6.1485
0.0000 2.6506 2.0891
2.0687 4.0590 2.8119
1.9438 -2.0548 11.7724
0.0000 6.1137 0.0000
0.0000 0.0000 8.9604
2.0687 8.1685 -2.8119
1.9438 2.0548 6.1485
4.0125 3.4631 6.8713
2.0687 8.1685 2.8119
1.9438 2.0548 11.7724
0.0000 3.9801 8.9604
-1.4283 6.1137 5.9436
1.4283 6.1137 5.9436
0.0000 9.5769 2.0891
2.6525 4.2104 -5.0573
1.3601 -1.9034 3.9032
2.2259 1.8057 -1.5109
5.7992 1.8057 -1.5109
4.0125 0.0000 1.2338
0.0000 1.4455 0.0000
2.2259 1.8057 1.5109
5.7992 1.8057 1.5109
4.0125 4.0049 -1.4229
4.0125 -1.2271 6.9327
2.6720 0.0000 5.2006
5.3530 0.0000 5.2006
2.6525 8.0171 -5.0573
1.3601 1.9034 3.9032
4.0125 4.0049 1.4229
2.1630 6.1137 -1.3550
1.8495 0.0000 7.6054
4.0125 1.2271 6.9327
0.0000 4.8866 2.0277
2.1630 6.1137 1.3550
1.8495 0.0000 10.3154
0.0000 2.1089 7.5376
2.6525 4.2104 5.0573
1.3601 -1.9034 14.0177
-1.3405 6.1137 3.7598
1.3405 6.1137 3.7598
0.0000 7.3409 2.0277
0.0000 2.1089 10.3833
-1.7867 4.3080 7.4495
1.7867 4.3080 7.4495
0.0000 10.7820 0.0000
0.0000 6.1137 7.7266
-1.7867 4.3080 10.4714
1.7867 4.3080 10.4714
2.6525 8.0171 5.0573
1.3601 1.9034 14.0177
```

Results
Total magnetic moment (Bohr magnetons per cell): 0.000
Space-group type: No. 71
Raw total energy (Ry/atom): -0.4798
Formation energy (eV per atom): -0.765



No. 2
VASP calculation (PBE) on a geometry-optimized ScNiSn structure.

Geometry as POSCAR:
```
ScNiSn
1.0
7.2178 0.0000 0.0000
-3.6089 6.2508 0.0000
0.0000 0.0000 3.5541
Sc Ni Sn
3 3 3
Cartesian
-2.1853 3.7850 0.0000
1.4237 2.4659 0.0000
4.3705 0.0000 0.0000
0.0000 0.0000 0.0000
0.0000 4.1672 1.7771
3.6089 2.0836 1.7771
-0.9768 1.6918 1.7771
1.9536 0.0000 1.7771
2.6321 4.5590 1.7771
```

Results
Space-group type: No. 189
Raw total energy (Ry/atom): -0.4418
Formation energy (eV per atom): -0.637



No. 3
VASP calculation (PBE) on a geometry-optimized ScNiSn structure.

Geometry as POSCAR:
```
ScNiSn
1.0
6.6681 0.0000 0.0000
0.0000 4.3674 0.0000
0.0000 0.0000 7.5329
Sc Ni Sn
4 4 4
Cartesian
0.0712 1.0918 1.5696
3.2629 3.2755 5.3361
3.4052 1.0918 2.1969
6.5969 3.2755 5.9633
1.3921 3.2755 3.1346
1.9420 1.0918 6.9010
4.7261 3.2755 0.6319
5.2760 1.0918 4.3983
1.3218 1.0918 4.4224
2.0122 3.2755 0.6559
4.6559 1.0918 6.8770
5.3463 3.2755 3.1105
```

Results
Total magnetic moment (Bohr magnetons per cell): 0.000
Space-group type: No. 62
Raw total energy (Ry/atom): -0.4412
Formation energy (eV per atom): -0.628



No. 4
VASP calculation (PBE) on a geometry-optimized Zr4ScNi5Sn5 structure.

Geometry as POSCAR:
```
Zr4ScNi5Sn5
1.0
2.1901 1.2644 17.8544
-2.1901 1.2644 17.8544
0.0000 -2.5289 17.8544
Zr Sc Ni Sn
4 1 5 5
Cartesian
0.0000 0.0000 0.0000
0.0000 0.0000 10.7093
0.0000 0.0000 21.4320
0.0000 0.0000 32.1324
0.0000 0.0000 42.8257
0.0000 0.0000 8.0516
0.0000 0.0000 18.7335
0.0000 0.0000 29.4540
0.0000 0.0000 40.1422
0.0000 0.0000 50.8782
0.0000 0.0000 5.3539
0.0000 0.0000 16.0554
0.0000 0.0000 26.7618
0.0000 0.0000 37.4778
0.0000 0.0000 48.1963
```

Results
Total magnetic moment (Bohr magnetons per cell): 0.000
Space-group type: No. 160
Raw total energy (Ry/atom): -0.4871
Formation energy (eV per atom): -0.662



No. 5
VASP calculation (PBE) on a geometry-optimized Sc2TcNi structure.

Geometry as POSCAR:
```
Sc2TcNi
1.0
0.0000 3.2055 3.2055
3.2055 0.0000 3.2055
3.2055 3.2055 0.0000
Sc Tc Ni
2 1 1
Cartesian
1.6028 1.6028 1.6028
4.8083 4.8083 4.8083
0.0000 0.0000 0.0000
3.2055 3.2055 3.2055
```

Results
Space-group type: No. 225
Raw total energy (Ry/atom): -0.5534
Formation energy (eV per atom): -0.329



No. 6
VASP calculation (PBE) on a geometry-optimized Sc6NiTe2 structure.

Geometry as POSCAR:
```
Sc6NiTe2
1.0
7.7839 0.0000 0.0000
-3.8919 6.7410 0.0000
0.0000 0.0000 3.7382
Sc Ni Te
6 1 2
Cartesian
-0.9273 1.6061 0.0000
-2.3651 4.0965 1.8691
1.8546 0.0000 0.0000
1.5268 2.6445 1.8691
4.7303 0.0000 1.8691
2.9646 5.1349 0.0000
0.0000 0.0000 1.8691
0.0000 4.4940 0.0000
3.8919 2.2470 0.0000
```

Results
Space-group type: No. 189
Raw total energy (Ry/atom): -0.4593
Formation energy (eV per atom): -0.781



No. 7
VASP calculation (PBE) on a geometry-optimized Sc5Ni2Te2 structure.

Geometry as POSCAR:
```
Sc5Ni2Te2
1.0
17.9144 0.0000 0.0000
0.0000 3.9701 0.0000
0.0000 0.0000 10.6637
Sc Ni Te
20 8 8
Cartesian
0.3430 0.9925 1.8466
1.3115 2.9776 5.9675
2.3768 0.9925 8.5665
2.7123 2.9776 3.0127
4.0530 0.9925 5.1108
4.9042 2.9776 10.4426
6.2449 0.9925 8.3446
6.5804 2.9776 3.2347
7.6457 0.9925 0.6357
8.6142 2.9776 7.1784
9.3002 0.9925 3.4853
10.2686 2.9776 10.0281
11.3340 0.9925 7.4291
11.6694 2.9776 2.3192
13.0101 0.9925 0.2211
13.8614 2.9776 5.5530
15.2021 0.9925 7.6510
15.5376 2.9776 2.0972
16.6029 0.9925 4.6962
17.5714 2.9776 8.8172
0.0959 0.9925 7.1886
1.5076 0.9925 4.2289
7.4496 2.9776 9.5608
8.8612 2.9776 1.8568
9.0531 0.9925 8.8070
10.4648 0.9925 1.1030
16.4067 2.9776 6.4349
17.8184 2.9776 3.4751
1.9290 2.9776 0.1024
4.1705 2.9776 7.3680
4.7867 0.9925 2.0361
7.0282 0.9925 5.4342
10.8862 2.9776 5.2295
13.1276 2.9776 8.6276
13.7439 0.9925 3.2957
15.9854 0.9925 10.5614
```

Results
Space-group type: No. 62
Raw total energy (Ry/atom): -0.4614
Formation energy (eV per atom): -0.870



No. 8
VASP calculation (PBE) on a geometry-optimized Ni19Se20 structure.

Geometry as POSCAR:
```
Ni19Se20
1.0
7.4159 0.0000 0.0000
3.6615 8.2554 0.0000
1.8015 4.0153 10.0688
Ni Se
19 20
Cartesian
0.0000 0.0000 0.0000
1.8307 4.1277 0.0000
3.6455 6.6016 7.9969
5.5189 10.6210 8.0788
5.4493 8.9783 6.0357
3.6797 4.8789 6.0618
3.6261 3.2853 4.0148
5.5267 7.3353 3.9889
3.7286 1.6607 1.9898
5.5314 5.6417 1.9093
3.7080 0.0000 0.0000
7.3475 6.6290 8.1595
9.1504 10.6100 8.0791
7.3523 4.9354 6.0799
9.2528 8.9854 6.0541
9.1992 7.3918 4.0070
7.4297 3.2924 4.0332
7.3600 1.6497 1.9901
9.2334 5.6691 2.0719
3.6596 7.3376 5.6292
3.6602 7.3600 2.3154
1.8455 1.6893 0.3385
1.8338 1.5840 3.6836
5.4772 8.1777 8.3612
3.6774 4.1023 1.7069
7.3271 10.6642 9.7599
7.3395 10.6762 6.3768
5.5065 4.9104 7.7486
5.5317 4.8887 4.3408
7.3472 7.3820 5.7281
7.3724 7.3603 2.3202
5.5394 1.5945 3.6920
5.5518 1.6065 0.3090
9.2016 8.1684 8.3619
7.4018 4.0930 1.7076
11.0451 10.6867 6.3853
11.0334 10.5814 9.7304
9.2187 4.9107 7.7534
9.2193 4.9331 4.4396
```

Results
Total magnetic moment (Bohr magnetons per cell): 0.000
Space-group type: No. 2
Raw total energy (Ry/atom): -0.3572
Formation energy (eV per atom): -0.493



No. 9
VASP calculation (PBE) on a geometry-optimized Ni3Se2 structure.

Geometry as POSCAR:
```
Ni3Se2
1.0
3.0132 1.7397 2.4139
-3.0132 1.7397 2.4139
0.0000 -3.4793 2.4139
Ni Se
3 2
Cartesian
-2.2659 0.4454 2.4139
0.7473 -2.1850 2.4139
1.5187 1.7397 2.4139
0.0000 0.0000 1.8706
0.0000 0.0000 5.3712
```

Results
Space-group type: No. 155
Raw total energy (Ry/atom): -0.3772
Formation energy (eV per atom): -0.455



No. 10
VASP calculation (PBE) on a geometry-optimized Ni3Se structure.

Geometry as POSCAR:
```
Ni3Se
1.0
5.1526 0.0000 0.0000
-2.5763 4.4622 0.0000
0.0000 0.0000 4.1834
Ni Se
6 2
Cartesian
0.0000 1.4645 1.0459
-1.3080 3.7300 1.0459
1.2683 0.7322 3.1376
1.3080 3.7300 1.0459
3.8843 0.7322 3.1376
2.5763 2.9978 3.1376
0.0000 2.9748 3.1376
2.5763 1.4874 1.0459
```

Results
Total magnetic moment (Bohr magnetons per cell): 0.797
Space-group type: No. 194
Raw total energy (Ry/atom): -0.3750
Formation energy (eV per atom): -0.010



No. 11
VASP calculation (PBE) on a geometry-optimized Si2NiSe4 structure.

Geometry as POSCAR:
```
Si2NiSe4
1.0
6.6638 -1.7396 0.0000
6.6638 1.7396 0.0000
-2.3593 0.0000 6.0036
Si Ni Se
2 1 4
Cartesian
2.6770 0.0000 1.3229
8.2914 0.0000 4.6807
5.4842 0.0000 3.0018
0.4876 0.0000 2.9312
4.8951 0.0000 0.1553
6.0733 0.0000 5.8483
10.4807 0.0000 3.0724
```

Results
Total magnetic moment (Bohr magnetons per cell): 0.003
Space-group type: No. 12
Raw total energy (Ry/atom): -0.3323
Formation energy (eV per atom): -0.417



No. 12
VASP calculation (PBE) on a geometry-optimized Ta11Ni2Se8 structure.

Geometry as POSCAR:
```
Ta11Ni2Se8
1.0
12.1024 0.0000 0.0000
0.0000 19.6546 0.0000
0.0000 0.0000 3.4414
Ta Ni Se
22 4 16
Cartesian
0.0000 0.0000 0.0000
0.6234 4.7587 0.0000
0.7549 2.2537 1.7207
1.8959 15.4731 1.7207
2.1071 6.9601 1.7207
2.1888 18.6475 1.7207
3.8624 8.8202 0.0000
3.9441 16.7874 0.0000
4.1553 5.6458 0.0000
5.2963 12.0810 0.0000
5.4278 14.5860 1.7207
6.0512 9.8273 1.7207
6.6746 5.0686 1.7207
6.8061 7.5736 0.0000
7.9471 14.0088 0.0000
8.1583 2.8672 0.0000
8.2400 10.8344 0.0000
9.9136 1.0071 1.7207
9.9953 12.6944 1.7207
10.2065 4.1815 1.7207
11.3476 17.4009 1.7207
11.4790 14.8959 0.0000
1.1213 17.1145 0.0000
4.9299 7.2872 1.7207
7.1725 12.3674 1.7207
10.9811 2.5401 0.0000
0.5054 13.2516 1.7207
1.3079 8.7657 0.0000
2.5098 1.0788 0.0000
2.5994 4.1960 1.7207
3.4518 14.0233 0.0000
3.5414 10.9061 1.7207
4.7433 18.5930 1.7207
5.5458 3.4243 0.0000
6.5566 16.2303 0.0000
7.3591 1.0616 1.7207
8.5610 8.7485 1.7207
8.6506 5.6313 0.0000
9.5030 15.4586 1.7207
9.5926 18.5758 0.0000
10.7945 10.8889 0.0000
11.5970 6.4030 1.7207
```

Results
Space-group type: No. 58
Raw total energy (Ry/atom): -0.6369
Formation energy (eV per atom): -0.751